(1)
The following is a DFT calculation (PBE+U) of a geometry-optimized MgCr4W2O12 structure.

extended XYZ file:
```
19
Lattice="4.755 0.000 0.000 0.000 9.205 0.000 -0.065 0.000 4.781" Properties=species:S:1:pos:R:3 pbc="T T T"
Mg 0.000 0.000 0.000
Cr -0.032 0.220 2.390
Cr -0.032 3.280 2.390
Cr 2.378 4.848 0.000
Cr 2.378 7.817 0.000
W -0.032 6.299 2.390
W 2.378 1.839 0.000
O 0.792 7.925 1.325
O 0.827 1.650 1.264
O 0.857 4.806 1.437
O 1.421 6.373 3.747
O 1.458 3.296 3.795
O 1.506 0.214 3.737
O 3.184 0.214 1.043
O 3.232 3.296 0.986
O 3.270 6.373 1.034
O 3.834 4.806 3.344
O 3.863 1.650 3.516
O 3.899 7.925 3.455
```

E_tot = -142.91 eV/f.u.
Symmetry = No. 3
ΔH_f (0 K) = -2238 meV per atom

(2)
The following is a DFT calculation (PBE+U) of a geometry-optimized Li8Mn3Fe5B8O24 structure.

extended XYZ file:
```
48
Lattice="5.237 0.000 0.000 0.138 6.065 0.000 0.238 2.309 15.982" Properties=species:S:1:pos:R:3 pbc="T T T"
Li 0.000 0.000 0.000
Li 5.424 4.180 8.013
Li 1.821 3.918 11.535
Li 1.769 5.795 3.494
Li 2.904 6.273 12.041
Li 2.720 2.085 3.992
Li 4.349 1.838 7.519
Li 4.536 6.020 15.467
Mn 1.904 6.738 6.397
Mn 2.773 5.327 9.129
Mn 4.433 4.644 2.424
Fe 1.932 4.863 14.446
Fe 2.607 1.157 1.099
Fe 4.458 2.756 10.432
Fe 5.508 7.425 13.066
Fe 5.327 3.234 5.123
B 1.795 4.085 0.992
B 1.857 2.205 9.016
B 2.688 3.810 6.507
B 2.874 8.010 14.505
B 4.563 4.287 13.002
B 4.512 6.178 5.004
B 5.209 1.720 2.522
B 5.407 5.898 10.532
O 0.432 4.193 0.790
O 0.496 2.332 8.841
O 1.336 1.591 2.682
O 1.531 5.793 10.746
O 1.943 4.709 7.271
O 2.003 2.849 15.286
O 2.188 7.197 13.599
O 2.020 2.988 5.586
O 2.442 4.907 1.905
O 2.538 3.024 9.928
O 2.594 1.299 8.248
O 2.543 3.170 0.232
O 3.199 4.418 12.837
O 3.153 6.282 4.776
O 4.049 3.690 6.691
O 4.235 7.877 14.671
O 4.652 6.809 11.288
O 4.483 2.621 3.311
O 4.525 0.913 1.606
O 4.771 5.073 9.611
O 5.007 0.958 5.913
O 5.252 5.105 13.897
O 5.291 3.375 12.222
O 5.273 5.255 4.273
```

E_tot = -339.49 eV/f.u.
Symmetry = No. 1
ΔH_f (0 K) = -2395 meV per atom

(3)
The following is a DFT calculation (PBE+U) of a geometry-optimized Li7Mn5O12 structure.

extended XYZ file:
```
48
Lattice="4.876 -4.304 0.000 4.876 4.304 0.000 -1.180 0.000 10.583" Properties=species:S:1:pos:R:3 pbc="T T T"
Li 9.455 0.000 2.648
Li -0.884 0.000 7.935
Li 2.040 1.416 4.057
Li 1.456 1.419 9.349
Li 2.161 0.000 1.390
Li 1.567 0.000 6.677
Li 2.040 -1.416 4.057
Li 1.456 -1.419 9.349
Li 7.114 1.419 1.234
Li 6.531 1.416 6.526
Li 7.004 0.000 3.906
Li 6.410 0.000 9.192
Li 7.114 -1.419 1.234
Li 6.531 -1.416 6.526
Mn 4.876 2.881 0.000
Mn 4.285 2.877 5.291
Mn 4.577 1.459 2.652
Mn 3.994 1.459 7.931
Mn 4.876 0.000 0.000
Mn 4.285 0.000 5.291
Mn 4.577 -1.459 2.652
Mn 3.994 -1.459 7.931
Mn 4.285 -2.877 5.291
Mn 4.876 -2.881 0.000
O 3.457 2.802 3.503
O 2.874 2.802 8.789
O 0.598 0.000 4.748
O 0.014 0.000 10.043
O 3.678 1.450 0.578
O 3.087 1.448 5.870
O 5.697 2.802 1.793
O 5.114 2.802 7.080
O 3.356 0.000 3.220
O 2.778 0.000 8.510
O 5.484 1.448 4.712
O 4.893 1.450 10.005
O 3.678 -1.450 0.578
O 3.087 -1.448 5.870
O 5.793 0.000 2.072
O 5.215 0.000 7.363
O 3.457 -2.802 3.503
O 2.874 -2.802 8.789
O 5.484 -1.448 4.712
O 4.893 -1.450 10.005
O 8.557 0.000 0.540
O 7.973 0.000 5.834
O 5.697 -2.802 1.793
O 5.114 -2.802 7.080
```

E_tot = -153.51 eV/f.u.
Symmetry = No. 12
ΔH_f (0 K) = -2148 meV per atom

(4)
The following is a DFT calculation (PBE+U) of a geometry-optimized CaVBiO5 structure.

extended XYZ file:
```
32
Lattice="5.861 0.000 0.000 0.000 11.886 0.000 -2.876 0.000 7.777" Properties=species:S:1:pos:R:3 pbc="T T T"
Ca -0.267 1.018 1.461
Ca -1.705 4.925 5.349
Ca 4.691 6.960 2.428
Ca 3.253 10.868 6.316
V 1.855 7.679 0.229
V 0.417 10.149 4.117
V 2.569 1.737 3.659
V 1.131 4.206 7.547
Bi 0.331 1.094 6.475
Bi 1.769 4.849 2.586
Bi 1.217 7.037 5.190
Bi 2.655 10.792 1.302
O -0.335 8.591 3.887
O -1.773 9.238 7.775
O 0.930 6.644 1.339
O -0.508 11.184 5.227
O 1.553 0.310 0.099
O 0.115 5.633 3.987
O -0.784 6.846 6.476
O 0.654 10.982 2.588
O 1.056 2.159 2.965
O -0.382 3.784 6.853
O 3.367 8.102 0.923
O 1.929 9.726 4.811
O 2.332 0.903 5.188
O 3.770 5.040 1.300
O 2.870 6.253 3.790
O 1.433 11.575 7.678
O 3.494 0.701 2.549
O 2.056 5.242 6.438
O 4.759 2.648 0.001
O 3.321 3.295 3.890
```

E_tot = -54.94 eV/f.u.
Symmetry = No. 14
ΔH_f (0 K) = -2545 meV per atom

(5)
The following is a DFT calculation (PBE+U) of a geometry-optimized U2MnAs2O24 structure.

extended XYZ file:
```
29
Lattice="7.147 0.000 0.000 -0.267 7.191 0.000 -1.203 -2.469 10.858" Properties=species:S:1:pos:R:3 pbc="T T T"
U 1.110 0.589 4.334
U 4.567 4.133 6.524
Mn 3.573 0.000 0.000
As 0.996 4.165 5.421
As 4.681 0.557 5.437
O -0.360 3.871 6.440
O -0.136 0.577 8.554
O 1.103 0.608 2.514
O 0.687 5.546 4.442
O 0.736 1.431 8.943
O 1.136 0.596 6.152
O 1.290 2.832 4.381
O 0.808 -1.194 10.644
O 1.103 -1.668 9.476
O 2.235 5.918 0.227
O 1.980 1.136 8.833
O 2.337 4.397 6.473
O 3.340 0.325 4.386
O 3.697 3.587 2.025
O 3.442 -1.196 10.631
O 4.573 6.390 1.382
O 4.869 5.916 0.214
O 4.387 1.890 6.478
O 4.541 4.127 4.706
O 4.941 3.292 1.915
O 4.990 -0.824 6.416
O 4.574 4.114 8.345
O 5.813 4.145 2.304
O 6.037 0.851 4.418
```

E_tot = -184.79 eV/f.u.
Symmetry = No. 2
ΔH_f (0 K) = -919 meV per atom

(6)
The following is a DFT calculation (PBE+U) of a geometry-optimized Li9Mn2Co5O16 structure.

extended XYZ file:
```
32
Lattice="5.829 0.000 0.000 1.474 6.325 0.000 1.190 0.221 7.604" Properties=species:S:1:pos:R:3 pbc="T T T"
Li 0.000 0.000 0.000
Li 1.241 0.930 4.779
Li 2.681 2.541 6.637
Li 2.865 4.031 0.951
Li 4.295 5.642 2.822
Li 4.198 0.904 4.781
Li 5.629 2.514 6.652
Li 5.812 4.005 0.967
Li 7.252 5.616 2.825
Mn 4.143 4.935 5.740
Mn 4.350 1.611 1.864
Co 1.412 1.652 1.876
Co 2.828 3.290 3.797
Co 2.915 0.000 0.000
Co 5.665 3.256 3.806
Co 7.081 4.894 5.728
O 1.391 3.534 2.391
O 2.688 4.589 6.955
O 2.863 5.269 4.339
O 3.021 6.148 1.307
O 2.771 0.462 6.244
O 2.856 1.353 3.134
O 3.039 1.864 0.464
O 4.187 3.054 5.248
O 4.306 3.492 2.356
O 5.455 4.682 7.140
O 5.637 5.193 4.470
O 5.722 6.083 1.360
O 5.472 0.398 6.297
O 5.630 1.276 3.264
O 5.805 1.957 0.649
O 7.102 3.012 5.213
```

E_tot = -186.40 eV/f.u.
Symmetry = No. 2
ΔH_f (0 K) = -1835 meV per atom

What is the formula in the fifth record?
U2MnAs2O24